The following is a PBE-GGA calculation of an optimized crystal structure of Na6MgGe7P12O48, from Materials Project.

abc: 8.440 14.623 21.755
angles: 90.03 90.04 90.02
Atoms (fractional coordinates):
Na: 0.000 0.000 0.000
Na: 0.000 0.001 0.501
Na: 0.001 0.667 0.835
Na: 0.009 0.332 0.665
Na: 0.009 0.667 0.333
Na: 0.319 0.314 0.246
Na: 0.369 0.004 0.246
Na: 0.490 0.167 0.834
Na: 0.495 0.829 0.162
Na: 0.496 0.831 0.666
Na: 0.500 0.499 0.501
Na: 0.500 0.500 0.000
Na: 0.508 0.167 0.334
Na: 0.631 0.003 0.748
Na: 0.681 0.314 0.748
Na: 0.819 0.814 0.246
Na: 0.869 0.504 0.246
Na: 0.995 0.329 0.162
Mg: 0.006 0.667 0.184
Mg: 0.493 0.167 0.686
Mg: 0.506 0.167 0.184
Ge: 0.000 0.000 0.356
Ge: 0.000 0.333 0.019
Ge: 0.000 0.666 0.480
Ge: 0.001 0.666 0.982
Ge: 0.002 0.667 0.686
Ge: 0.002 0.998 0.856
Ge: 0.003 0.002 0.645
Ge: 0.007 0.334 0.815
Ge: 0.496 0.830 0.814
Ge: 0.497 0.831 0.316
Ge: 0.498 0.499 0.646
Ge: 0.499 0.500 0.356
Ge: 0.499 0.501 0.143
Ge: 0.499 0.502 0.855
Ge: 0.500 0.166 0.482
Ge: 0.500 0.833 0.019
Ge: 0.501 0.166 0.982
Ge: 0.501 0.833 0.521
Ge: 0.997 0.331 0.316
Ge: 0.999 0.001 0.143
Ge: 0.999 0.332 0.520
P: 0.136 0.143 0.251
P: 0.143 0.478 0.917
P: 0.144 0.523 0.583
P: 0.144 0.810 0.583
P: 0.145 0.857 0.252
P: 0.146 0.189 0.917
P: 0.209 0.167 0.583
P: 0.211 0.832 0.917
P: 0.216 0.501 0.252
P: 0.283 0.998 0.752
P: 0.289 0.333 0.417
P: 0.291 0.668 0.083
P: 0.352 0.359 0.752
P: 0.353 0.312 0.083
P: 0.356 0.020 0.083
P: 0.356 0.689 0.418
P: 0.356 0.978 0.417
P: 0.357 0.643 0.750
P: 0.636 0.643 0.251
P: 0.644 0.977 0.916
P: 0.645 0.357 0.252
P: 0.645 0.689 0.917
P: 0.646 0.020 0.584
P: 0.646 0.313 0.584
P: 0.712 0.333 0.916
P: 0.713 0.666 0.584
P: 0.716 0.001 0.252
P: 0.788 0.502 0.750
P: 0.789 0.833 0.417
P: 0.791 0.168 0.082
P: 0.853 0.812 0.083
P: 0.854 0.189 0.417
P: 0.856 0.478 0.417
P: 0.856 0.520 0.083
P: 0.859 0.855 0.750
P: 0.864 0.144 0.752
O: 0.059 0.102 0.193
O: 0.060 0.241 0.258
O: 0.064 0.438 0.859
O: 0.064 0.563 0.641
O: 0.064 0.770 0.525
O: 0.065 0.230 0.974
O: 0.065 0.900 0.309
O: 0.066 0.573 0.923
O: 0.067 0.094 0.910
O: 0.068 0.428 0.576
O: 0.068 0.905 0.590
O: 0.070 0.764 0.248
O: 0.101 0.253 0.574
O: 0.103 0.080 0.587
O: 0.106 0.582 0.248
O: 0.106 0.746 0.924
O: 0.107 0.919 0.911
O: 0.112 0.411 0.258
O: 0.117 0.082 0.309
O: 0.122 0.417 0.974
O: 0.123 0.583 0.525
O: 0.124 0.750 0.641
O: 0.125 0.248 0.859
O: 0.129 0.920 0.194
O: 0.170 0.352 0.758
O: 0.172 0.011 0.088
O: 0.172 0.323 0.074
O: 0.174 0.680 0.424
O: 0.174 0.986 0.410
O: 0.175 0.653 0.743
O: 0.182 0.015 0.809
O: 0.184 0.353 0.473
O: 0.184 0.978 0.693
O: 0.191 0.647 0.024
O: 0.192 0.314 0.357
O: 0.202 0.687 0.140
O: 0.300 0.187 0.640
O: 0.308 0.147 0.523
O: 0.310 0.813 0.858
O: 0.313 0.852 0.974
O: 0.315 0.156 0.247
O: 0.316 0.516 0.310
O: 0.318 0.477 0.195
O: 0.325 0.487 0.910
O: 0.325 0.514 0.590
O: 0.326 0.819 0.576
O: 0.327 0.180 0.924
O: 0.330 0.851 0.258
O: 0.368 0.259 0.143
O: 0.374 0.418 0.693
O: 0.375 0.748 0.359
O: 0.377 0.081 0.026
O: 0.377 0.585 0.808
O: 0.378 0.916 0.473
O: 0.391 0.910 0.757
O: 0.392 0.080 0.748
O: 0.393 0.247 0.424
O: 0.393 0.420 0.411
O: 0.397 0.580 0.087
O: 0.400 0.752 0.073
O: 0.426 0.054 0.143
O: 0.429 0.266 0.748
O: 0.430 0.924 0.074
O: 0.432 0.408 0.088
O: 0.433 0.594 0.411
O: 0.433 0.938 0.357
O: 0.434 0.073 0.423
O: 0.434 0.271 0.026
O: 0.434 0.739 0.756
O: 0.436 0.731 0.475
O: 0.437 0.402 0.808
O: 0.437 0.603 0.692
O: 0.559 0.602 0.193
O: 0.560 0.741 0.258
O: 0.564 0.730 0.973
O: 0.565 0.399 0.309
O: 0.566 0.271 0.525
O: 0.567 0.073 0.923
O: 0.567 0.594 0.910
O: 0.567 0.938 0.856
O: 0.568 0.410 0.588
O: 0.569 0.924 0.574
O: 0.570 0.263 0.247
O: 0.574 0.055 0.642
O: 0.606 0.082 0.248
O: 0.607 0.247 0.923
O: 0.608 0.420 0.909
O: 0.608 0.580 0.591
O: 0.608 0.752 0.576
O: 0.612 0.911 0.258
O: 0.617 0.582 0.309
O: 0.621 0.916 0.973
O: 0.624 0.080 0.525
O: 0.624 0.749 0.858
O: 0.629 0.420 0.194
O: 0.631 0.259 0.642
O: 0.672 0.511 0.088
O: 0.672 0.823 0.074
O: 0.673 0.179 0.424
O: 0.674 0.487 0.411
O: 0.675 0.847 0.757
O: 0.685 0.155 0.747
O: 0.685 0.851 0.473
O: 0.686 0.479 0.693
O: 0.688 0.520 0.808
O: 0.691 0.147 0.024
O: 0.692 0.814 0.357
O: 0.701 0.187 0.140
O: 0.809 0.315 0.856
O: 0.813 0.647 0.525
O: 0.814 0.686 0.641
O: 0.815 0.352 0.973
O: 0.815 0.656 0.247
O: 0.816 0.016 0.310
O: 0.817 0.976 0.194
O: 0.826 0.679 0.924
O: 0.826 0.986 0.910
O: 0.828 0.324 0.574
O: 0.829 0.009 0.588
O: 0.830 0.351 0.258
O: 0.868 0.759 0.143
O: 0.874 0.248 0.359
O: 0.875 0.918 0.693
O: 0.877 0.581 0.025
O: 0.880 0.417 0.473
O: 0.884 0.080 0.808
O: 0.890 0.414 0.757
O: 0.893 0.746 0.423
O: 0.893 0.919 0.411
O: 0.894 0.588 0.743
O: 0.897 0.080 0.087
O: 0.899 0.252 0.073
O: 0.926 0.554 0.143
O: 0.930 0.424 0.074
O: 0.932 0.908 0.088
O: 0.933 0.094 0.410
O: 0.933 0.439 0.357
O: 0.934 0.573 0.423
O: 0.934 0.770 0.025
O: 0.935 0.759 0.743
O: 0.935 0.895 0.808
O: 0.936 0.230 0.474
O: 0.939 0.241 0.758
O: 0.940 0.103 0.693

Values from the calculation:
- SG: P1
- Total DFT energy (no corrections): -6.709 eV/atom
- Crystal system: triclinic